No. 1
Material: TeBr6N2
Method: DFT, GGA-PBE
State: optimized geometry

Lattice parameters (Å, degrees): 25.292 25.292 25.292 90.00 90.00 90.00
Space group Fd-3c (No. 228, origin choice 2)
Asymmetric unit:
Te 0.000 0.000 0.000
Br 0.009 0.101 0.491
N 0.125 0.125 0.125
N 0.125 0.125 0.375

Calculated values
magnetic moment	6.0	μB per formula unit
calculated formation energy	1.010	eV/atom
volume	16178.44	Å³/cell
E	-634.55	eV per cell
excess energy over the best structure of this formula in the dataset	0.17	kcal/mol of atoms

=====

No. 2
Material: TeBr6N2
Method: DFT, GGA-PBE
State: optimized geometry

Lattice parameters (Å, degrees): 10.810 10.810 10.810 90.00 90.00 90.00
Space group Fm-3m (No. 225)
Asymmetric unit:
Te 0.000 0.000 0.000
Br 0.000 0.000 0.239
N 0.250 0.250 0.250

Calculated values
magnetic moment	6.1	μB per formula unit
calculated formation energy	1.002	eV/atom
volume	1263.25	Å³/cell
E	-79.58	eV per cell
excess energy over the best structure of this formula in the dataset	0.00	kcal/mol of atoms

=====

No. 3
Material: ThBrN
Method: DFT, GGA-PBE
State: optimized geometry

Lattice parameters (Å, degrees): 4.061 4.061 8.692 90.00 90.00 90.00
Space group P4/nmm (No. 129, origin choice 2)
Asymmetric unit:
Th 0.250 0.250 0.134
Br 0.250 0.250 0.666
N 0.250 0.750 0.000

Calculated values
calculated formation energy	-2.086	eV/atom
volume	143.35	Å³/cell
E	-46.57	eV per cell

=====

No. 4
Material: Th2Br2N
Method: DFT, GGA-PBE
State: optimized geometry

Lattice parameters (Å, degrees): 3.969 3.969 13.450 90.00 90.00 90.00
Space group P4/mmm (No. 123)
Asymmetric unit:
Th 0.000 0.000 0.154
Br 0.000 0.000 0.357
N 0.000 0.000 0.000

Calculated values
magnetic moment	0.9	μB per formula unit
calculated formation energy	-0.589	eV/atom
volume	211.85	Å³/cell
E	-29.02	eV per cell